1.
The following is a PBE with a Hubbard U calculation of an optimized crystal structure of Li3V3P8O29, from the Materials Project.

Output
Calculated formation energy (kJ per mole of atoms): -242.7
Uncorrected energy (eV/atom): -7.044
Energy with MP2020 corrections (eV/cell): -655.84
Excess energy over the best structure of this formula in the dataset (eV per atom): 0.0180

a = 9.7778 Å, b = 9.7889 Å, c = 14.1095 Å
α = 89.66°, β = 89.69°, γ = 60.11°
Closest atoms and distances in Å follow each position.
Fractional coordinates of all 86 atoms:
Li: 0.0869 0.6891 0.0550  2 O 1.86-1.91
Li: 0.2253 0.0852 0.0552  3 O 1.88-2.07
Li: 0.3070 0.9130 0.4480  2 O 1.86-1.89
Li: 0.6848 0.0869 0.5635  3 O 1.94-2.02
Li: 0.7742 0.3183 0.4454  2 O 1.89-1.92
Li: 0.9051 0.3195 0.9384  3 O 1.88-2.09
V: 0.0038 0.4338 0.7419  6 O 1.82-1.99
V: 0.4295 0.5691 0.7512  6 O 1.87-1.90
V: 0.4384 0.9987 0.2490  6 O 1.81-2.00
V: 0.5708 0.9948 0.7569  6 O 1.83-1.99
V: 0.5632 0.4321 0.2434  6 O 1.84-2.00
V: 0.9971 0.5705 0.2576  6 O 1.83-1.98
P: 0.0855 0.6815 0.8407  4 O 1.48-1.60
P: 0.2332 0.6833 0.3428  4 O 1.47-1.62
P: 0.0879 0.2278 0.3411  4 O 1.48-1.63
P: 0.3415 0.3298 0.6296  4 O 1.48-1.60
P: 0.3267 0.3356 0.1297  4 O 1.48-1.60
P: 0.2274 0.0910 0.8405  4 O 1.48-1.61
P: 0.3200 0.9122 0.6605  4 O 1.48-1.62
P: 0.6832 0.2304 0.8416  4 O 1.48-1.63
P: 0.3149 0.7713 0.1576  4 O 1.48-1.61
P: 0.6827 0.0890 0.3417  4 O 1.48-1.60
P: 0.7744 0.9141 0.1576  4 O 1.46-1.63
P: 0.6693 0.6592 0.8703  4 O 1.48-1.61
P: 0.6624 0.6645 0.3702  4 O 1.48-1.60
P: 0.9142 0.7738 0.6571  4 O 1.47-1.62
P: 0.7671 0.3199 0.6590  4 O 1.50-1.60
P: 0.9143 0.3211 0.1588  4 O 1.49-1.61
O: 0.0004 0.7642 0.5693  1 P 1.47
O: 0.0896 0.6560 0.3349  1 P 1.56
O: 0.2108 0.7923 0.2509  2 P 1.61-1.62
O: 0.2350 0.7601 0.0720  1 P 1.48
O: 0.0937 0.5216 0.8190  1 P 1.56
O: 0.2544 0.6574 0.8319  1 P 1.55
O: 0.1810 0.4857 0.1716  1 P 1.57
O: 0.0962 0.3818 0.3239  1 P 1.57
O: 0.9973 0.2483 0.0679  1 P 1.49
O: 0.0809 0.2587 0.8359  1 P 1.55
O: 0.3404 0.4764 0.6758  1 P 1.57
O: 0.1877 0.3337 0.6729  1 P 1.60
O: 0.3853 0.5231 0.3216  1 P 1.56
O: 0.3405 0.3319 0.5244  1 P 1.48
O: 0.3288 0.3327 0.0248  1 P 1.48
O: 0.5239 0.3835 0.8254  1 P 1.55
O: 0.3279 0.1833 0.1716  1 P 1.59
O: 0.4776 0.3351 0.1742  1 P 1.60
O: 0.2567 0.0824 0.3398  1 P 1.55
O: 0.2079 0.0032 0.7502  2 P 1.61-1.62
O: 0.2375 0.0097 0.9316  1 P 1.48
O: 0.2484 0.9929 0.5700  1 P 1.48
O: 0.3809 0.0993 0.8217  1 P 1.56
O: 0.4902 0.1791 0.6697  1 P 1.57
O: 0.6614 0.2571 0.3345  1 P 1.56
O: 0.3386 0.9172 0.1604  1 P 1.56
O: 0.5208 0.0980 0.3186  1 P 1.58
O: 0.2425 0.7622 0.4289  1 P 1.47
O: 0.7586 0.2436 0.5688  1 P 1.50
O: 0.4790 0.9060 0.6810  1 P 1.55
O: 0.6557 0.0874 0.8358  1 P 1.56
O: 0.7876 0.2059 0.7462  2 P 1.60-1.63
O: 0.3443 0.7437 0.6687  1 P 1.55
O: 0.5127 0.8162 0.3275  1 P 1.60
O: 0.6192 0.9050 0.1798  1 P 1.59
O: 0.7602 0.0017 0.0703  1 P 1.46
O: 0.7447 0.0132 0.4345  1 P 1.48
O: 0.7943 0.9948 0.2538  2 P 1.60-1.63
O: 0.7433 0.9182 0.6632  1 P 1.56
O: 0.5219 0.6607 0.8254  1 P 1.57
O: 0.4778 0.6185 0.1760  1 P 1.57
O: 0.6662 0.8127 0.8265  1 P 1.61
O: 0.6625 0.6682 0.4752  1 P 1.48
O: 0.6677 0.6619 0.9755  1 P 1.48
O: 0.6161 0.4785 0.6760  1 P 1.54
O: 0.8128 0.6661 0.3257  1 P 1.60
O: 0.6666 0.5141 0.3296  1 P 1.56
O: 0.9186 0.7437 0.1639  1 P 1.56
O: 0.9921 0.7947 0.7532  2 P 1.60-1.62
O: 0.0080 0.7486 0.9326  1 P 1.48
O: 0.9046 0.6192 0.6763  1 P 1.58
O: 0.8200 0.5117 0.8295  1 P 1.57
O: 0.7458 0.3445 0.1665  1 P 1.55
O: 0.9072 0.4793 0.1796  1 P 1.54
O: 0.7700 0.2355 0.9258  1 P 1.48
O: 0.9124 0.3430 0.6646  1 P 1.55
O: 0.9925 0.2388 0.4254  1 P 1.48
O: 0.0096 0.2052 0.2453  2 P 1.61-1.63

2.
The following is a PBE with a Hubbard U calculation of an optimized crystal structure of Li7Eu3Mo8O32, from the Materials Project.

Output
Calculated formation energy (kJ per mole of atoms): -200.5
Uncorrected energy (eV/atom): -6.910
Energy with MP2020 corrections (eV/cell): -393.12

a = 6.9177 Å, b = 10.0995 Å, c = 10.8650 Å
α = 66.36°, β = 83.85°, γ = 74.76°
Closest atoms and distances in Å follow each position.
Fractional coordinates of all 50 atoms:
Li: 0.1973 0.3975 0.1302  3 O 1.98-2.13
Li: 0.6978 0.8981 0.1299  3 O 1.98-2.12
Li: 0.3026 0.1021 0.8699  3 O 1.98-2.12
Li: 0.8040 0.6043 0.8670  3 O 2.01-2.11
Li: 0.2498 0.7502 0.9993  4 O 2.00-2.08
Li: 0.7500 0.2500 0.0000  4 O 2.01-2.07
Li: 0.9781 0.7950 0.5621  8 O 2.42-2.55
Eu: 0.4758 0.2950 0.5615  8 O 2.40-2.50
Eu: 0.5212 0.7064 0.4420  8 O 2.41-2.52
Eu: 0.0244 0.2002 0.4404  8 O 2.41-2.52
Mo: 0.0907 0.6090 0.3198  4 O 1.77-1.86
Mo: 0.5945 0.1063 0.3192  4 O 1.77-1.84
Mo: 0.4074 0.8917 0.6810  4 O 1.77-1.82
Mo: 0.9083 0.3933 0.6818  4 O 1.77-1.86
Mo: 0.3641 0.4819 0.8013  4 O 1.77-1.83
Mo: 0.8656 0.9784 0.8012  4 O 1.77-1.88
Mo: 0.1345 0.0189 0.1987  4 O 1.77-1.83
Mo: 0.6343 0.5201 0.1978  4 O 1.76-1.86
O: 0.6953 0.9929 0.9315  1 Mo 1.77, 1 Li 1.98
O: 0.1936 0.4937 0.9319  1 Mo 1.77, 1 Li 1.98
O: 0.8052 0.5069 0.0682  1 Mo 1.76
O: 0.3053 0.0067 0.0682  1 Mo 1.77, 1 Li 1.98
O: 0.3362 0.5486 0.4048  1 Mo 1.86
O: 0.8326 0.0507 0.4031  1 Mo 1.81
O: 0.1669 0.9518 0.5965  1 Mo 1.82
O: 0.6652 0.4512 0.5949  1 Mo 1.86
O: 0.1418 0.1849 0.2260  1 Mo 1.83
O: 0.6417 0.6848 0.2247  1 Mo 1.81
O: 0.3580 0.3155 0.7741  1 Mo 1.83
O: 0.8567 0.8159 0.7770  1 Mo 1.78
O: 0.3988 0.1659 0.4275  1 Mo 1.84
O: 0.8977 0.6636 0.4260  1 Mo 1.79
O: 0.1028 0.3342 0.5726  1 Mo 1.84
O: 0.5975 0.8353 0.5724  1 Mo 1.80
O: 0.3110 0.6467 0.6441  1 Mo 1.83
O: 0.8084 0.1496 0.6411  1 Mo 1.88
O: 0.1930 0.8527 0.3539  1 Mo 1.83
O: 0.6909 0.3522 0.3574  1 Mo 1.86
O: 0.0522 0.4527 0.2920  1 Mo 1.81
O: 0.5519 0.9520 0.2912  1 Mo 1.80
O: 0.4484 0.0484 0.7083  1 Mo 1.82
O: 0.9484 0.5461 0.7078  1 Mo 1.77
O: 0.1107 0.9463 0.8630  1 Mo 1.79, 1 Li 2.00
O: 0.6106 0.4467 0.8622  1 Mo 1.79
O: 0.3899 0.5534 0.1370  1 Mo 1.78
O: 0.8887 0.0529 0.1376  1 Mo 1.79
O: 0.0648 0.7596 0.1613  1 Mo 1.77
O: 0.5670 0.2590 0.1619  1 Mo 1.77
O: 0.4338 0.7399 0.8394  1 Mo 1.77
O: 0.9347 0.2406 0.8391  1 Mo 1.77

3.
The following is a PBE with a Hubbard U calculation of an optimized crystal structure of CoSbO4, from the Materials Project.

Output
Calculated formation energy (kJ per mole of atoms): -148.8
Uncorrected energy (eV/atom): -5.983
Energy with MP2020 corrections (eV/cell): -80.57

a = 5.9470 Å, b = 5.9470 Å, c = 5.9470 Å
α = 122.43°, β = 116.12°, γ = 91.34°
Closest atoms and distances in Å follow each position.
Fractional coordinates of all 12 atoms:
Co: 0.0000 0.0000 0.5000  6 O 1.93-1.96
Co: 0.0000 0.5000 0.0000  6 O 1.93-1.96
Sb: 0.5000 0.0000 0.5000  6 O 2.01-2.07
Sb: 0.0000 0.0000 0.0000  6 O 2.01-2.07
O: 0.7644 0.2492 0.9848  1 Co 1.96, 2 Sb 2.07
O: 0.2171 0.7611 0.4560  2 Co 1.93, 1 Sb 2.01
O: 0.1950 0.2389 0.9560  2 Co 1.93, 1 Sb 2.01
O: 0.2356 0.2204 0.4848  1 Co 1.96, 2 Sb 2.07
O: 0.7644 0.7796 0.5152  1 Co 1.96, 2 Sb 2.07
O: 0.8050 0.7611 0.0440  2 Co 1.93, 1 Sb 2.01
O: 0.7829 0.2389 0.5440  2 Co 1.93, 1 Sb 2.01
O: 0.2356 0.7508 0.0152  1 Co 1.96, 2 Sb 2.07

4.
The following is a PBE with a Hubbard U calculation of an optimized crystal structure of Mg6CrSiO8, from the Materials Project.

Output
Calculated formation energy (kJ per mole of atoms): -247.3
Uncorrected energy (eV/atom): -6.111
Energy with MP2020 corrections (eV/cell): -105.27
Excess energy over the best structure of this formula in the dataset (eV per atom): 0.0000

a = 8.9258 Å, b = 4.2880 Å, c = 4.2880 Å
α = 90.00°, β = 90.00°, γ = 90.00°
Closest atoms and distances in Å follow each position.
Fractional coordinates of all 16 atoms:
Mg: 0.5000 0.0000 0.0000  6 O 2.12-2.14
Mg: 0.5000 0.5000 0.5000  6 O 2.10-2.14
Mg: 0.2605 0.0000 0.5000  6 O 2.14-2.33
Mg: 0.7395 0.0000 0.5000  6 O 2.14-2.33
Mg: 0.2605 0.5000 0.0000  6 O 2.14-2.33
Mg: 0.7395 0.5000 0.0000  6 O 2.14-2.33
Cr: 0.0000 0.5000 0.5000  6 O 2.14-2.36
Si: 0.0000 0.0000 0.0000  6 O 2.14-2.34
O: 0.2625 0.0000 0.0000  5 Mg 2.12-2.14, 1 Si 2.34
O: 0.7375 0.0000 0.0000  5 Mg 2.12-2.14, 1 Si 2.34
O: 0.2647 0.5000 0.5000  5 Mg 2.10-2.14
O: 0.7353 0.5000 0.5000  5 Mg 2.10-2.14
O: 0.0000 0.0000 0.5000  2 Cr 2.14, 2 Si 2.14, 2 Mg 2.33
O: 0.5000 0.0000 0.5000  6 Mg 2.14
O: 0.0000 0.5000 0.0000  2 Cr 2.14, 2 Si 2.14, 2 Mg 2.33
O: 0.5000 0.5000 0.0000  6 Mg 2.14

5.
The following is a PBE with a Hubbard U calculation of an optimized crystal structure of VPbO4, from the Materials Project.

Output
Calculated formation energy (kJ per mole of atoms): -180.9
Uncorrected energy (eV/atom): -6.565
Energy with MP2020 corrections (eV/cell): -175.34

a = 7.3037 Å, b = 6.9269 Å, c = 8.4686 Å
α = 52.89°, β = 90.00°, γ = 90.00°
Closest atoms and distances in Å follow each position.
Fractional coordinates of all 24 atoms:
V: 0.8381 0.6843 0.2030  4 O 1.73-1.76
V: 0.1619 0.3157 0.7970  4 O 1.73-1.76
V: 0.3381 0.3157 0.2970  4 O 1.73-1.76
V: 0.6619 0.6843 0.7030  4 O 1.73-1.76
Pb: 0.3632 0.8140 0.2779  7 O 2.39-2.66
Pb: 0.6368 0.1860 0.7221  7 O 2.39-2.66
Pb: 0.8632 0.1860 0.2221  7 O 2.39-2.66
Pb: 0.1368 0.8140 0.7779  7 O 2.39-2.66
O: 0.9022 0.6476 0.0253  1 V 1.73
O: 0.0978 0.3524 0.9747  1 V 1.73
O: 0.4022 0.3524 0.4747  1 V 1.73
O: 0.5978 0.6476 0.5253  1 V 1.73
O: 0.7908 0.3865 0.4033  1 V 1.74
O: 0.2092 0.6135 0.5967  1 V 1.74
O: 0.2908 0.6135 0.0967  1 V 1.74
O: 0.7092 0.3865 0.9033  1 V 1.74
O: 0.6412 0.8669 0.1081  1 V 1.76
O: 0.3588 0.1331 0.8919  1 V 1.76
O: 0.1412 0.1331 0.3919  1 V 1.76
O: 0.8588 0.8669 0.6081  1 V 1.76
O: 0.0006 0.8400 0.2415  1 V 1.76
O: 0.9994 0.1600 0.7585  1 V 1.76
O: 0.5006 0.1600 0.2585  1 V 1.76
O: 0.4994 0.8400 0.7415  1 V 1.76

6.
The following is a PBE with a Hubbard U calculation of an optimized crystal structure of Cr3NiP4O16, from the Materials Project.

Output
Calculated formation energy (kJ per mole of atoms): -232.4
Uncorrected energy (eV/atom): -7.243
Energy with MP2020 corrections (eV/cell): -193.36

a = 5.7714 Å, b = 4.7813 Å, c = 9.9335 Å
α = 89.72°, β = 90.00°, γ = 90.00°
Closest atoms and distances in Å follow each position.
Fractional coordinates of all 24 atoms:
Cr: 0.0000 0.4749 0.7709  6 O 1.95-2.07
Cr: 0.5000 0.5300 0.2284  6 O 1.97-2.04
Cr: 0.5000 0.9718 0.7302  6 O 1.97-2.09
Ni: 0.0000 0.0381 0.2720  6 O 1.98-2.21
P: 0.5000 0.0922 0.4053  4 O 1.52-1.58
P: 0.5000 0.4129 0.9083  4 O 1.52-1.59
P: 0.0000 0.5760 0.0929  4 O 1.51-1.59
P: 0.0000 0.9162 0.5925  4 O 1.50-1.60
O: 0.5000 0.1648 0.5545  1 P 1.52
O: 0.2966 0.2474 0.3286  1 P 1.58
O: 0.7034 0.2474 0.3286  1 P 1.58
O: 0.0000 0.2316 0.6138  1 P 1.52
O: 0.0000 0.2610 0.1039  1 P 1.51
O: 0.2938 0.2653 0.8292  1 P 1.59
O: 0.7062 0.2653 0.8292  1 P 1.59
O: 0.5000 0.3270 0.0555  1 P 1.52
O: 0.0000 0.6710 0.9456  1 P 1.53
O: 0.7894 0.7170 0.1699  1 P 1.59
O: 0.2106 0.7170 0.1699  1 P 1.59
O: 0.5000 0.7288 0.8910  1 P 1.52
O: 0.5000 0.7763 0.3862  1 P 1.52
O: 0.7941 0.7661 0.6733  1 P 1.60
O: 0.2059 0.7661 0.6733  1 P 1.60
O: 0.0000 0.8360 0.4469  1 P 1.50

7.
The following is a PBE with a Hubbard U calculation of an optimized crystal structure of NbCrF6, from the Materials Project.

Output
Calculated formation energy (kJ per mole of atoms): -295.1
Uncorrected energy (eV/atom): -6.367
Energy with MP2020 corrections (eV/cell): -55.71

a = 5.7671 Å, b = 5.7670 Å, c = 5.9641 Å
α = 118.91°, β = 118.91°, γ = 90.00°
Closest atoms and distances in Å follow each position.
Fractional coordinates of all 8 atoms:
Nb: 0.0000 0.0000 0.0000  6 F 1.94-2.05
Cr: 0.5000 0.5000 0.0000  4 F 2.03
F: 0.7768 0.7768 0.5535  1 Nb 1.94
F: 0.2232 0.2232 0.4465  1 Nb 1.94
F: 0.2515 0.2515 0.0000  1 Cr 2.03, 1 Nb 2.05
F: 0.7485 0.2515 0.0000  1 Cr 2.03, 1 Nb 2.05
F: 0.2515 0.7485 0.0000  1 Cr 2.03, 1 Nb 2.05
F: 0.7485 0.7485 0.0000  1 Cr 2.03, 1 Nb 2.05

8.
The following is a PBE with a Hubbard U calculation of an optimized crystal structure of Li4V3P8O29, from the Materials Project.

Output
Calculated formation energy (kJ per mole of atoms): -247.6
Uncorrected energy (eV/atom): -7.036
Energy with MP2020 corrections (eV/cell): -669.21
Excess energy over the best structure of this formula in the dataset (eV per atom): 0.0169

a = 9.7822 Å, b = 9.7865 Å, c = 14.0855 Å
α = 89.77°, β = 89.81°, γ = 60.02°
Closest atoms and distances in Å follow each position.
Fractional coordinates of all 88 atoms:
Li: 0.9101 0.7728 0.4372  4 O 1.98-2.21
Li: 0.3190 0.9096 0.4385  3 O 1.89-2.05
Li: 0.3218 0.7688 0.9420  3 O 1.94-2.11
Li: 0.9044 0.3188 0.9457  2 O 1.88-1.91
Li: 0.7724 0.3265 0.4371  3 O 1.89-2.07
Li: 0.0870 0.6824 0.0636  4 O 1.98-2.18
Li: 0.6808 0.0924 0.5571  3 O 1.94-2.12
Li: 0.2257 0.0969 0.0643  4 O 1.97-2.16
V: 0.4316 0.5641 0.7454  6 O 1.83-1.98
V: 0.5674 0.4290 0.2466  6 O 1.84-1.97
V: 0.9979 0.5694 0.2533  6 O 1.87-2.00
V: 0.0022 0.4337 0.7456  6 O 1.84-2.00
V: 0.5699 0.9952 0.7573  6 O 1.82-1.99
V: 0.4343 0.9999 0.2477  6 O 1.84-2.01
P: 0.7709 0.9160 0.1574  4 O 1.47-1.64
P: 0.9114 0.7728 0.6588  4 O 1.48-1.61
P: 0.3199 0.9126 0.6581  4 O 1.47-1.63
P: 0.6661 0.6617 0.8708  4 O 1.48-1.61
P: 0.6635 0.6655 0.3724  4 O 1.50-1.60
P: 0.3187 0.7673 0.1574  4 O 1.51-1.60
P: 0.2318 0.6836 0.3418  4 O 1.48-1.64
P: 0.9118 0.3209 0.1586  4 O 1.51-1.61
P: 0.0884 0.6813 0.8420  4 O 1.48-1.62
P: 0.7705 0.3174 0.6580  4 O 1.49-1.60
P: 0.6839 0.2300 0.8413  4 O 1.47-1.63
P: 0.3373 0.3286 0.6294  4 O 1.48-1.60
P: 0.3301 0.3375 0.1272  4 O 1.49-1.61
P: 0.6804 0.0878 0.3413  4 O 1.51-1.60
P: 0.0870 0.2292 0.3401  4 O 1.48-1.63
P: 0.2279 0.0889 0.8403  4 O 1.50-1.61
O: 0.7589 0.0043 0.4324  1 P 1.51
O: 0.7427 0.9196 0.6647  1 P 1.56
O: 0.0102 0.7520 0.9330  1 P 1.48
O: 0.9161 0.7450 0.1644  1 P 1.57
O: 0.6182 0.9053 0.1780  1 P 1.57
O: 0.6666 0.8134 0.8262  1 P 1.61
O: 0.4788 0.9061 0.6806  1 P 1.56
O: 0.2394 0.0007 0.9298  1 P 1.50
O: 0.3347 0.9164 0.1571  1 P 1.54
O: 0.8119 0.6742 0.3349  1 P 1.59
O: 0.9014 0.6195 0.6787  1 P 1.58
O: 0.5113 0.8122 0.3331  1 P 1.56
O: 0.6636 0.6665 0.9760  1 P 1.48
O: 0.6665 0.6563 0.4786  1 P 1.50
O: 0.5141 0.6674 0.8298  1 P 1.57
O: 0.8987 0.4808 0.1750  1 P 1.52
O: 0.8172 0.5134 0.8295  1 P 1.58
O: 0.3448 0.7431 0.6693  1 P 1.56
O: 0.2067 0.7866 0.2451  2 P 1.60-1.64
O: 0.2409 0.7691 0.4258  1 P 1.48
O: 0.2457 0.7534 0.0668  1 P 1.51
O: 0.4810 0.6177 0.1765  1 P 1.55
O: 0.6699 0.5120 0.3290  1 P 1.60
O: 0.2572 0.6601 0.8360  1 P 1.56
O: 0.6184 0.4791 0.6766  1 P 1.56
O: 0.9147 0.3417 0.6661  1 P 1.55
O: 0.9998 0.7903 0.7503  2 P 1.61-1.62
O: 0.9899 0.7644 0.5675  1 P 1.48
O: 0.9939 0.2358 0.4249  1 P 1.48
O: 0.0846 0.6634 0.3426  1 P 1.55
O: 0.3834 0.5229 0.3225  1 P 1.55
O: 0.7448 0.3389 0.1661  1 P 1.56
O: 0.3352 0.4794 0.6752  1 P 1.60
O: 0.5238 0.3831 0.8225  1 P 1.56
O: 0.7697 0.2358 0.9254  1 P 1.47
O: 0.7592 0.2451 0.5676  1 P 1.49
O: 0.7885 0.2050 0.7455  2 P 1.60-1.63
O: 0.6646 0.2549 0.3388  1 P 1.56
O: 0.1855 0.4902 0.1671  1 P 1.56
O: 0.0961 0.5211 0.8200  1 P 1.56
O: 0.4810 0.3347 0.1754  1 P 1.61
O: 0.3372 0.3391 0.0215  1 P 1.49
O: 0.3364 0.3349 0.5246  1 P 1.48
O: 0.4870 0.1810 0.6704  1 P 1.57
O: 0.0972 0.3809 0.3230  1 P 1.55
O: 0.1854 0.3330 0.6743  1 P 1.59
O: 0.6554 0.0874 0.8349  1 P 1.56
O: 0.7935 0.9952 0.2539  2 P 1.60-1.64
O: 0.7669 0.0009 0.0705  1 P 1.47
O: 0.5193 0.1032 0.3245  1 P 1.53
O: 0.3258 0.1878 0.1649  1 P 1.58
O: 0.3802 0.0991 0.8237  1 P 1.56
O: 0.0811 0.2565 0.8390  1 P 1.55
O: 0.9956 0.2421 0.0679  1 P 1.51
O: 0.0084 0.2049 0.2447  2 P 1.61-1.63
O: 0.2556 0.0831 0.3378  1 P 1.55
O: 0.2484 0.9897 0.5672  1 P 1.47
O: 0.2077 0.0032 0.7488  2 P 1.61-1.63